P) Density functional theory data (PBE+U) for an optimized crystal structure of MnFeBiO5.

abc: 5.864 7.629 8.738
angles: 90.00 90.00 90.00
Fractional coordinates of all 32 atoms:
Mn: 0.253 0.500 0.000
Mn: 0.747 0.000 0.500
Mn: 0.747 0.500 0.000
Mn: 0.253 0.000 0.500
Fe: 0.500 0.886 0.147
Fe: 0.500 0.114 0.853
Fe: 0.500 0.386 0.353
Fe: 0.500 0.614 0.647
Bi: 0.000 0.647 0.338
Bi: 0.000 0.353 0.662
Bi: 0.000 0.147 0.162
Bi: 0.000 0.853 0.838
O: 0.000 0.655 0.057
O: 0.000 0.345 0.943
O: 0.000 0.155 0.443
O: 0.000 0.845 0.557
O: 0.281 0.500 0.500
O: 0.719 0.000 0.000
O: 0.719 0.500 0.500
O: 0.281 0.000 0.000
O: 0.500 0.645 0.077
O: 0.500 0.355 0.923
O: 0.500 0.145 0.423
O: 0.500 0.855 0.577
O: 0.252 0.885 0.301
O: 0.252 0.115 0.699
O: 0.748 0.385 0.199
O: 0.748 0.615 0.801
O: 0.748 0.115 0.699
O: 0.748 0.885 0.301
O: 0.252 0.615 0.801
O: 0.252 0.385 0.199


Q) Density functional theory data (PBE+U) for an optimized crystal structure of MnFeBiO5.

abc: 5.976 7.591 8.668
angles: 90.00 90.00 90.00
Fractional coordinates of all 32 atoms:
Mn: 0.500 0.896 0.145
Mn: 0.500 0.604 0.645
Mn: 0.500 0.396 0.355
Mn: 0.500 0.104 0.855
Fe: 0.744 0.500 0.000
Fe: 0.256 0.500 0.000
Fe: 0.744 0.000 0.500
Fe: 0.256 0.000 0.500
Bi: 0.000 0.839 0.830
Bi: 0.000 0.339 0.670
Bi: 0.000 0.161 0.170
Bi: 0.000 0.661 0.330
O: 0.500 0.656 0.081
O: 0.000 0.163 0.444
O: 0.256 0.882 0.292
O: 0.710 0.000 0.000
O: 0.744 0.618 0.792
O: 0.744 0.118 0.708
O: 0.500 0.344 0.919
O: 0.290 0.500 0.500
O: 0.000 0.837 0.556
O: 0.256 0.118 0.708
O: 0.000 0.663 0.056
O: 0.744 0.382 0.208
O: 0.744 0.882 0.292
O: 0.256 0.618 0.792
O: 0.290 0.000 0.000
O: 0.500 0.844 0.581
O: 0.500 0.156 0.419
O: 0.710 0.500 0.500
O: 0.256 0.382 0.208
O: 0.000 0.337 0.944


Most stable to least stable, the ends of the list are P) and Q).